Model P:
! Na2CoP2O7 PBE with a Hubbard U optimized geometry; values from VASP
! space-group type = No. 2
&SYSTEM
  ibrav = 0, nat = 48, ntyp = 4
/
ATOMIC_SPECIES
Na 22.99 Na.upf
Co 58.93 Co.upf
P 30.97 P.upf
O 16.00 O.upf
CELL_PARAMETERS angstrom
8.684 0.000 0.000
-2.412 8.346 0.000
-1.366 -1.838 10.196
ATOMIC_POSITIONS crystal
Na 0.008 0.492 0.250
Na 0.243 0.757 0.500
Na 0.257 0.742 0.000
Na 0.492 0.008 0.249
Na 0.508 0.992 0.751
Na 0.743 0.258 0.000
Na 0.757 0.243 0.500
Na 0.992 0.508 0.750
Co 0.000 0.000 0.500
Co 0.250 0.250 0.249
Co 0.500 0.500 0.000
Co 0.750 0.750 0.751
P 0.073 0.867 0.219
P 0.134 0.927 0.781
P 0.367 0.573 0.720
P 0.427 0.634 0.281
P 0.573 0.366 0.719
P 0.633 0.427 0.280
P 0.866 0.073 0.219
P 0.927 0.133 0.781
O 0.010 0.220 0.206
O 0.066 0.856 0.365
O 0.068 0.707 0.138
O 0.091 0.091 0.840
O 0.143 0.933 0.635
O 0.208 0.569 0.639
O 0.220 0.010 0.206
O 0.280 0.490 0.293
O 0.293 0.932 0.862
O 0.355 0.564 0.866
O 0.410 0.410 0.660
O 0.431 0.793 0.361
O 0.434 0.644 0.134
O 0.489 0.280 0.292
O 0.511 0.720 0.708
O 0.566 0.356 0.866
O 0.569 0.207 0.639
O 0.590 0.590 0.340
O 0.645 0.436 0.134
O 0.707 0.068 0.138
O 0.720 0.510 0.707
O 0.780 0.990 0.794
O 0.792 0.431 0.361
O 0.857 0.067 0.365
O 0.909 0.909 0.160
O 0.932 0.293 0.862
O 0.934 0.144 0.635
O 0.990 0.780 0.794

Model Q:
! Na2CoP2O7 PBE with a Hubbard U optimized geometry; values from VASP
! space-group type = No. 14
&SYSTEM
  ibrav = 0, nat = 48, ntyp = 4
/
ATOMIC_SPECIES
Na 22.99 Na.upf
Co 58.93 Co.upf
P 30.97 P.upf
O 16.00 O.upf
CELL_PARAMETERS angstrom
5.261 0.000 0.000
0.000 13.700 0.000
-5.027 0.000 8.901
ATOMIC_POSITIONS crystal
Na 0.071 0.107 0.364
Na 0.071 0.393 0.864
Na 0.409 0.204 0.144
Na 0.409 0.296 0.644
Na 0.591 0.704 0.356
Na 0.591 0.796 0.856
Na 0.929 0.607 0.136
Na 0.929 0.893 0.636
Co 0.037 0.168 0.738
Co 0.037 0.332 0.238
Co 0.963 0.668 0.762
Co 0.963 0.832 0.262
P 0.284 0.690 0.548
P 0.284 0.810 0.048
P 0.468 0.541 0.767
P 0.468 0.959 0.267
P 0.532 0.041 0.733
P 0.532 0.459 0.233
P 0.716 0.190 0.952
P 0.716 0.310 0.452
O 0.076 0.698 0.377
O 0.076 0.802 0.877
O 0.159 0.736 0.641
O 0.159 0.764 0.141
O 0.222 0.552 0.807
O 0.222 0.948 0.307
O 0.282 0.115 0.644
O 0.282 0.385 0.144
O 0.322 0.574 0.588
O 0.322 0.926 0.088
O 0.410 0.228 0.912
O 0.410 0.272 0.412
O 0.432 0.563 0.225
O 0.432 0.937 0.725
O 0.568 0.063 0.275
O 0.568 0.437 0.775
O 0.590 0.728 0.588
O 0.590 0.772 0.088
O 0.678 0.074 0.912
O 0.678 0.426 0.412
O 0.718 0.615 0.856
O 0.718 0.885 0.356
O 0.778 0.052 0.693
O 0.778 0.448 0.193
O 0.841 0.236 0.859
O 0.841 0.264 0.359
O 0.924 0.198 0.123
O 0.924 0.302 0.623

model Q ends up most stable, edging out the next structure by 0.050 eV/atom.

Model P:
! Li2Ni2S3O12 PBE with a Hubbard U optimized geometry; values from VASP
! space-group type = No. 15
&SYSTEM
  ibrav = 0, nat = 38, ntyp = 4
/
ATOMIC_SPECIES
Li 6.94 Li.upf
Ni 58.69 Ni.upf
S 32.06 S.upf
O 16.00 O.upf
CELL_PARAMETERS angstrom
6.473 -4.267 0.000
6.473 4.267 0.000
-3.848 0.000 7.855
ATOMIC_POSITIONS crystal
Li 0.138 0.327 0.055
Li 0.327 0.138 0.555
Li 0.673 0.862 0.445
Li 0.862 0.673 0.945
Ni 0.125 0.631 0.482
Ni 0.369 0.875 0.018
Ni 0.631 0.125 0.982
Ni 0.875 0.369 0.518
S 0.059 0.941 0.250
S 0.250 0.461 0.823
S 0.461 0.250 0.323
S 0.539 0.750 0.677
S 0.750 0.539 0.177
S 0.941 0.059 0.750
O 0.050 0.130 0.385
O 0.097 0.783 0.323
O 0.123 0.500 0.929
O 0.130 0.050 0.885
O 0.132 0.456 0.638
O 0.217 0.903 0.177
O 0.261 0.389 0.311
O 0.350 0.608 0.883
O 0.389 0.261 0.811
O 0.392 0.650 0.617
O 0.456 0.132 0.138
O 0.500 0.123 0.429
O 0.500 0.877 0.571
O 0.544 0.868 0.862
O 0.608 0.350 0.383
O 0.611 0.739 0.189
O 0.650 0.392 0.117
O 0.739 0.611 0.689
O 0.783 0.097 0.823
O 0.868 0.544 0.362
O 0.870 0.950 0.115
O 0.877 0.500 0.071
O 0.903 0.217 0.677
O 0.950 0.870 0.615

Model Q:
! Li2Ni2S3O12 PBE with a Hubbard U optimized geometry; values from VASP
! space-group type = No. 61
&SYSTEM
  ibrav = 0, nat = 152, ntyp = 4
/
ATOMIC_SPECIES
Li 6.94 Li.upf
Ni 58.69 Ni.upf
S 32.06 S.upf
O 16.00 O.upf
CELL_PARAMETERS angstrom
8.568 0.000 0.000
0.000 8.673 0.000
0.000 0.000 23.750
ATOMIC_POSITIONS crystal
Li 0.037 0.123 0.209
Li 0.037 0.377 0.709
Li 0.146 0.069 0.991
Li 0.146 0.431 0.491
Li 0.354 0.569 0.991
Li 0.354 0.931 0.491
Li 0.463 0.623 0.209
Li 0.463 0.877 0.709
Li 0.537 0.123 0.291
Li 0.537 0.377 0.791
Li 0.646 0.069 0.509
Li 0.646 0.431 0.009
Li 0.854 0.569 0.509
Li 0.854 0.931 0.009
Li 0.963 0.623 0.291
Li 0.963 0.877 0.791
Ni 0.002 0.703 0.679
Ni 0.002 0.797 0.179
Ni 0.005 0.600 0.937
Ni 0.005 0.900 0.437
Ni 0.495 0.100 0.937
Ni 0.495 0.400 0.437
Ni 0.498 0.203 0.679
Ni 0.498 0.297 0.179
Ni 0.502 0.703 0.821
Ni 0.502 0.797 0.321
Ni 0.505 0.600 0.563
Ni 0.505 0.900 0.063
Ni 0.995 0.100 0.563
Ni 0.995 0.400 0.063
Ni 0.998 0.203 0.821
Ni 0.998 0.297 0.321
S 0.143 0.053 0.700
S 0.143 0.447 0.200
S 0.149 0.746 0.553
S 0.149 0.754 0.053
S 0.197 0.594 0.383
S 0.197 0.906 0.883
S 0.303 0.094 0.383
S 0.303 0.406 0.883
S 0.351 0.246 0.553
S 0.351 0.254 0.053
S 0.357 0.553 0.700
S 0.357 0.947 0.200
S 0.643 0.053 0.800
S 0.643 0.447 0.300
S 0.649 0.746 0.947
S 0.649 0.754 0.447
S 0.697 0.594 0.117
S 0.697 0.906 0.617
S 0.803 0.094 0.117
S 0.803 0.406 0.617
S 0.851 0.246 0.947
S 0.851 0.254 0.447
S 0.857 0.553 0.800
S 0.857 0.947 0.300
O 0.063 0.608 0.535
O 0.063 0.892 0.035
O 0.083 0.598 0.221
O 0.083 0.902 0.721
O 0.084 0.610 0.025
O 0.084 0.890 0.525
O 0.086 0.089 0.644
O 0.086 0.411 0.144
O 0.091 0.177 0.739
O 0.091 0.323 0.239
O 0.094 0.690 0.418
O 0.094 0.810 0.918
O 0.098 0.507 0.343
O 0.098 0.993 0.843
O 0.139 0.731 0.114
O 0.139 0.769 0.614
O 0.183 0.547 0.702
O 0.183 0.953 0.202
O 0.186 0.235 0.535
O 0.186 0.265 0.035
O 0.187 0.183 0.352
O 0.187 0.317 0.852
O 0.226 0.517 0.923
O 0.226 0.983 0.423
O 0.274 0.017 0.923
O 0.274 0.483 0.423
O 0.313 0.683 0.352
O 0.313 0.817 0.852
O 0.314 0.735 0.535
O 0.314 0.765 0.035
O 0.317 0.047 0.702
O 0.317 0.453 0.202
O 0.361 0.231 0.114
O 0.361 0.269 0.614
O 0.402 0.007 0.343
O 0.402 0.493 0.843
O 0.406 0.190 0.418
O 0.406 0.310 0.918
O 0.409 0.677 0.739
O 0.409 0.823 0.239
O 0.414 0.589 0.644
O 0.414 0.911 0.144
O 0.416 0.110 0.025
O 0.416 0.390 0.525
O 0.417 0.098 0.221
O 0.417 0.402 0.721
O 0.437 0.108 0.535
O 0.437 0.392 0.035
O 0.563 0.608 0.965
O 0.563 0.892 0.465
O 0.583 0.598 0.279
O 0.583 0.902 0.779
O 0.584 0.610 0.475
O 0.584 0.890 0.975
O 0.586 0.089 0.856
O 0.586 0.411 0.356
O 0.591 0.177 0.761
O 0.591 0.323 0.261
O 0.594 0.690 0.082
O 0.594 0.810 0.582
O 0.598 0.507 0.157
O 0.598 0.993 0.657
O 0.639 0.731 0.386
O 0.639 0.769 0.886
O 0.683 0.547 0.798
O 0.683 0.953 0.298
O 0.686 0.235 0.965
O 0.686 0.265 0.465
O 0.687 0.183 0.148
O 0.687 0.317 0.648
O 0.726 0.517 0.577
O 0.726 0.983 0.077
O 0.774 0.017 0.577
O 0.774 0.483 0.077
O 0.813 0.683 0.148
O 0.813 0.817 0.648
O 0.814 0.735 0.965
O 0.814 0.765 0.465
O 0.817 0.047 0.798
O 0.817 0.453 0.298
O 0.861 0.231 0.386
O 0.861 0.269 0.886
O 0.902 0.007 0.157
O 0.902 0.493 0.657
O 0.906 0.190 0.082
O 0.906 0.310 0.582
O 0.909 0.677 0.761
O 0.909 0.823 0.261
O 0.914 0.589 0.856
O 0.914 0.911 0.356
O 0.916 0.110 0.475
O 0.916 0.390 0.975
O 0.917 0.098 0.279
O 0.917 0.402 0.779
O 0.937 0.108 0.965
O 0.937 0.392 0.465

model P ends up most stable, edging out the next structure by 0.023 eV/atom.

Model P:
! Li3Mn2CoO6 PBE with a Hubbard U optimized geometry; values from VASP
! space-group type = No. 5
&SYSTEM
  ibrav = 0, nat = 12, ntyp = 4
/
ATOMIC_SPECIES
Li 6.94 Li.upf
Mn 54.94 Mn.upf
Co 58.93 Co.upf
O 16.00 O.upf
CELL_PARAMETERS angstrom
2.626 -4.374 0.000
2.626 4.374 0.000
-1.967 0.000 4.856
ATOMIC_POSITIONS crystal
Li 0.000 0.000 0.000
Li 0.333 0.667 0.000
Li 0.669 0.331 0.000
Mn 0.164 0.836 0.500
Mn 0.830 0.170 0.500
Co 0.502 0.498 0.500
O 0.066 0.415 0.287
O 0.220 0.227 0.728
O 0.445 0.088 0.260
O 0.585 0.934 0.713
O 0.773 0.780 0.272
O 0.912 0.555 0.740

Model Q:
! Li3Mn2CoO6 PBE with a Hubbard U optimized geometry; values from VASP
! space-group type = No. 1
&SYSTEM
  ibrav = 0, nat = 24, ntyp = 4
/
ATOMIC_SPECIES
Li 6.94 Li.upf
Mn 54.94 Mn.upf
Co 58.93 Co.upf
O 16.00 O.upf
CELL_PARAMETERS angstrom
3.005 0.000 0.000
-1.478 4.956 0.000
-1.474 -1.959 14.989
ATOMIC_POSITIONS crystal
Li 0.000 0.000 0.000
Li 0.001 0.501 0.502
Li 0.328 0.326 0.331
Li 0.329 0.828 0.830
Li 0.674 0.675 0.673
Li 0.675 0.177 0.172
Mn 0.337 0.087 0.586
Mn 0.338 0.590 0.085
Mn 0.665 0.414 0.916
Mn 0.665 0.912 0.417
Co 0.000 0.251 0.751
Co 0.001 0.751 0.251
O 0.017 0.151 0.881
O 0.017 0.650 0.382
O 0.322 0.181 0.463
O 0.322 0.684 0.963
O 0.334 0.968 0.701
O 0.336 0.470 0.200
O 0.667 0.034 0.302
O 0.668 0.535 0.801
O 0.679 0.819 0.539
O 0.680 0.322 0.039
O 0.985 0.350 0.621
O 0.985 0.852 0.121

model P ends up most stable, edging out the next structure by 0.025 eV/atom.

Model P:
Compound: Li2Mn3NbO8
Source: the Materials Project
Functional: PBE with a Hubbard U
Structure: optimized geometry Values from VASP.

```
&SYSTEM
  ibrav = 0, nat = 28, ntyp = 4
/
ATOMIC_SPECIES
Mn 54.94 Mn.upf
O 16.00 O.upf
Nb 92.91 Nb.upf
Li 6.94 Li.upf
CELL_PARAMETERS angstrom
-3.568 0.409 4.842
-8.303 -6.621 -1.804
3.815 -4.635 -0.550
ATOMIC_POSITIONS crystal
Mn 0.500 0.500 0.500
O 0.266 0.872 0.403
Nb 0.500 0.250 0.250
Li 0.126 0.811 0.063
O 0.265 0.372 0.363
O 0.265 0.372 0.903
Mn 0.500 0.500 0.000
O 0.726 0.411 0.863
O 0.266 0.872 0.863
O 0.275 0.128 0.137
O 0.734 0.128 0.137
O 0.275 0.628 0.637
Li 0.874 0.189 0.937
Nb 0.500 0.750 0.750
Mn 0.000 0.000 0.500
O 0.725 0.872 0.863
Mn 0.000 0.500 0.000
O 0.735 0.628 0.637
O 0.274 0.589 0.137
O 0.734 0.128 0.597
Li 0.126 0.311 0.563
Mn 0.500 0.000 0.000
Li 0.874 0.689 0.437
O 0.735 0.628 0.097
O 0.725 0.372 0.363
Mn 0.500 0.000 0.500
O 0.274 0.089 0.637
O 0.726 0.911 0.363
```

Model Q:
Compound: Li2Mn3NbO8
Source: the Materials Project
Functional: PBE with a Hubbard U
Structure: optimized geometry Values from VASP.

```
&SYSTEM
  ibrav = 0, nat = 28, ntyp = 4
/
ATOMIC_SPECIES
O 16.00 O.upf
Mn 54.94 Mn.upf
Nb 92.91 Nb.upf
Li 6.94 Li.upf
CELL_PARAMETERS angstrom
3.105 -5.378 0.001
6.119 -0.053 0.178
-2.762 -1.596 9.712
ATOMIC_POSITIONS crystal
O 0.395 0.756 0.862
Mn 0.502 0.995 0.998
O 0.633 0.733 0.630
Nb 0.253 0.495 0.247
O 0.149 0.246 0.138
O 0.363 0.273 0.372
O 0.849 0.756 0.862
Mn 0.751 0.999 0.251
O 0.349 0.756 0.362
O 0.905 0.190 0.364
Mn 0.250 0.999 0.251
Mn 0.251 0.999 0.751
O 0.095 0.810 0.637
O 0.595 0.810 0.137
O 0.106 0.246 0.638
O 0.649 0.246 0.638
Nb 0.753 0.495 0.747
Li 0.692 0.616 0.430
Mn 0.750 0.999 0.751
O 0.895 0.756 0.362
Li 0.307 0.386 0.570
Li 0.807 0.386 0.070
O 0.133 0.733 0.130
O 0.405 0.190 0.864
Li 0.192 0.616 0.930
O 0.606 0.246 0.138
O 0.863 0.273 0.872
Mn 0.002 0.995 0.498
```

model Q ends up most stable, edging out the next structure by 0.029 eV/atom.